[1]
Material: LiMnP4O12
Method: DFT, PBE with a Hubbard U
State: optimized geometry

The structure in extended XYZ format:
```
36
Lattice="-6.976 -0.157 0.409 2.376 -6.174 2.257 0.308 3.370 9.413" Properties=species:S:1:pos:R:3 pbc="T T T"
O 0.001 -0.032 4.484
O 0.850 -1.202 9.672
O -4.293 -2.928 7.596
O -3.521 -0.265 10.872
O -0.373 1.320 6.665
O -1.094 2.457 8.943
O 0.286 -3.213 5.506
O -3.919 -4.280 5.414
O -5.142 -1.758 2.408
O -4.578 0.253 6.573
O -2.271 0.055 5.587
O -0.422 -1.105 6.789
O -0.771 -2.695 1.208
O -4.169 0.243 4.003
O -2.021 -3.015 6.492
O -4.297 1.520 9.277
O 0.005 -4.480 2.803
O -0.658 -0.282 1.933
O -2.820 -1.346 1.639
O -3.870 -1.855 5.290
O -0.122 -3.203 8.076
O -3.198 -5.417 3.136
O -1.472 -1.614 10.441
O -3.634 -2.679 10.147
P -2.930 -1.723 11.103
P -1.362 -1.237 0.976
P -3.597 -3.078 6.295
P -4.189 -2.101 1.259
P -0.472 -2.709 6.670
P -3.820 -0.252 5.410
P -0.695 0.118 5.784
P -0.103 -0.859 10.821
Li 1.070 -4.441 4.337
Li -5.362 1.481 7.742
Mn -5.800 -0.021 2.979
Mn 1.508 -2.939 9.100
```

Energy of formation   -2.519 eV per atom
ρ   2.7 g/cm³
Space-group type   C2/c (15)
Energy above the most stable polymorph in this dataset   98 kJ/mol of formula units

=====

[2]
Material: NaCaHfWO6
Method: DFT, PBE with a Hubbard U
State: optimized geometry

The structure in extended XYZ format:
```
10
Lattice="-4.814 2.242 -2.102 -3.299 -3.086 -3.494 -5.068 -1.913 1.808" Properties=species:S:1:pos:R:3 pbc="T T T"
O -5.719 0.397 -1.996
O -4.977 -2.216 -2.679
O -5.844 -1.641 -0.078
O -8.205 -0.541 -1.109
O -7.338 -1.117 -3.709
O -7.462 -3.154 -1.792
W -6.591 -1.379 -1.894
Ca -3.295 -0.689 -0.947
Na -9.886 -2.068 -2.841
Hf 0.000 0.000 0.000
```

Energy of formation   -2.881 eV per atom
ρ   6.6 g/cm³
Space-group type   F-43m (216)

=====

[3]
Material: Li2Ti3CoO8
Method: DFT, PBE with a Hubbard U
State: optimized geometry

The structure in extended XYZ format:
```
28
Lattice="5.943 -0.001 -0.001 -2.972 5.148 0.000 -0.002 -0.001 9.762" Properties=species:S:1:pos:R:3 pbc="T T T"
Ti -1.466 4.282 2.105
Ti 4.436 0.867 6.987
Ti 0.002 1.739 2.104
Ti 1.467 4.278 2.096
Ti 1.503 0.869 6.979
Ti 2.968 3.412 6.984
Li 2.968 5.146 4.871
Li 2.971 1.715 3.808
Li -2.973 5.147 9.749
Li -0.001 3.431 8.684
O 1.642 2.483 8.085
O -1.328 2.666 3.207
O -0.001 0.001 7.958
O -0.002 4.966 3.206
O 4.301 2.484 8.084
O 4.533 0.813 1.041
O 2.970 3.519 1.042
O 2.972 0.180 8.086
O -0.002 3.431 1.022
O -1.562 4.335 5.927
O 2.971 1.716 5.900
O 1.560 4.334 5.925
O 0.001 1.629 5.925
O 1.409 0.814 1.043
O 1.327 2.665 3.206
O 5.942 0.000 3.073
Co 2.973 1.713 9.713
Co -0.016 3.420 4.805
```

Energy of formation   -2.928 eV per atom
ρ   3.8 g/cm³
Space-group type   Cm (8)
Energy above the most stable polymorph in this dataset   76 kJ/mol of formula units

=====

[4]
Material: NaMgMnO2
Method: DFT, PBE with a Hubbard U
State: optimized geometry

The structure in extended XYZ format:
```
5
Lattice="3.217 0.000 0.000 -1.609 2.753 0.356 0.000 0.333 8.105" Properties=species:S:1:pos:R:3 pbc="T T T"
O 0.000 2.554 2.103
O 1.609 1.242 5.236
Na 0.000 0.530 3.414
Mg 0.000 2.062 6.082
Mn 1.608 1.763 1.014
```

Energy of formation   -1.838 eV per atom
ρ   3.1 g/cm³
Space-group type   Cm (8)
Energy above the most stable polymorph in this dataset   0 kJ/mol of formula units

=====

[5]
Material: RbMnPO4
Method: DFT, PBE with a Hubbard U
State: optimized geometry

The structure in extended XYZ format:
```
28
Lattice="-0.325 -5.061 -2.191 3.231 -3.553 7.727 -8.752 -0.829 3.212" Properties=species:S:1:pos:R:3 pbc="T T T"
O -7.490 -5.165 3.535
O -4.378 -5.599 -0.207
O -1.970 -5.147 0.524
O 0.432 -2.362 1.685
O -6.370 -2.896 3.302
O -1.948 -3.929 6.864
O 1.687 -3.594 5.509
O 0.484 -7.164 5.179
O 0.119 -6.494 2.760
O -3.022 -2.097 3.580
O -6.289 -7.243 6.993
O -6.049 -4.239 5.430
O -1.624 -6.272 7.904
O -3.852 -4.800 2.193
O -2.742 -6.059 5.725
O -3.932 -5.174 7.844
Mn -5.899 -5.226 7.217
Mn -0.051 -5.847 0.825
Mn -4.573 -2.849 2.274
Mn -1.344 -7.686 6.002
P -2.584 -5.323 7.089
P -3.360 -5.651 0.997
P 1.101 -7.178 3.753
P -7.051 -3.875 4.298
Rb -1.850 -2.108 -0.140
Rb -4.753 -6.914 3.995
Rb -1.198 -4.151 4.050
Rb -4.081 -8.643 8.322
```

Energy of formation   -2.592 eV per atom
ρ   3.3 g/cm³
Space-group type   P2_1 (4)

=====

[6]
Material: Ca8Ti3Mn5O20
Method: DFT, PBE with a Hubbard U
State: optimized geometry

The structure in extended XYZ format:
```
36
Lattice="7.859 0.002 0.040 -0.001 7.941 0.006 0.047 -0.001 8.048" Properties=species:S:1:pos:R:3 pbc="T T T"
O 5.728 4.411 4.458
O 7.847 7.405 6.110
O 0.584 1.791 7.979
O 6.137 7.742 0.480
O 3.482 3.869 6.130
O 0.049 6.174 3.644
O 0.251 4.357 6.327
O 1.719 0.434 3.625
O 7.302 3.781 2.066
O 3.808 6.070 3.447
O 5.895 3.642 7.797
O 4.280 0.330 6.160
O 3.798 1.447 0.839
O 1.948 3.857 3.724
O 1.292 7.056 0.462
O 6.108 0.135 3.397
O 4.043 6.105 8.069
O 1.889 4.150 0.612
O 7.584 1.956 4.725
O 4.150 2.226 3.729
Mn 7.766 4.068 4.118
Mn 3.898 0.134 4.008
Mn 7.786 3.795 0.200
Mn 3.850 3.850 0.069
Mn 3.823 4.175 4.094
Ca 5.951 5.955 2.527
Ca 1.958 2.205 2.081
Ca 2.025 5.672 6.695
Ca 1.858 5.825 2.305
Ca 6.059 5.550 6.351
Ca 5.552 2.372 5.697
Ca 1.754 2.419 5.696
Ca 5.780 2.024 2.124
Ti 4.379 7.899 7.942
Ti 7.826 0.054 4.247
Ti 0.057 0.097 7.799
```

Energy of formation   -2.917 eV per atom
ρ   3.5 g/cm³
Space-group type   P1 (1)
Energy above the most stable polymorph in this dataset   71 kJ/mol of formula units

=====

[7]
Material: Li5Mn3O8
Method: DFT, PBE with a Hubbard U
State: optimized geometry

The structure in extended XYZ format:
```
32
Lattice="-5.735 -0.383 -0.059 -2.957 -0.242 8.571 -0.385 5.812 0.022" Properties=species:S:1:pos:R:3 pbc="T T T"
O -5.961 2.522 2.290
O -4.678 4.170 8.571
O -3.124 2.555 6.243
O -3.095 2.713 2.321
O -1.513 1.244 0.049
O -6.131 5.405 1.925
O -2.940 -0.107 6.611
O -4.459 1.254 4.204
O -3.262 5.597 1.954
O -1.592 1.446 4.227
O -1.769 4.091 4.303
O -7.545 3.977 8.542
O -5.989 2.362 6.212
O -4.380 1.052 0.025
O -5.804 -0.298 6.580
O -4.636 3.898 4.274
Li -6.136 5.369 3.917
Li -3.087 2.749 0.331
Li -3.270 5.561 3.944
Li -4.657 4.035 6.423
Li -5.955 2.558 0.299
Li -1.552 1.345 2.141
Li -4.420 1.152 2.111
Li -1.744 4.251 2.152
Li -7.524 3.842 6.393
Li -4.613 4.059 2.123
Mn -3.114 2.698 4.132
Mn -6.109 5.421 0.114
Mn -3.244 5.613 0.143
Mn -4.464 1.128 6.412
Mn -7.332 0.936 6.382
Mn -5.983 2.505 4.101
```

Energy of formation   -2.117 eV per atom
ρ   3.8 g/cm³
Energy above the most stable polymorph in this dataset   52 kJ/mol of formula units

=====

[8]
Material: Al2W2O7
Method: DFT, PBE with a Hubbard U
State: optimized geometry

The structure in extended XYZ format:
```
22
Lattice="6.701 0.000 0.000 2.965 6.119 0.000 2.941 1.805 5.884" Properties=species:S:1:pos:R:3 pbc="T T T"
O 8.539 2.620 1.973
O 8.002 4.916 3.618
O 2.935 1.865 3.871
O 4.604 3.008 2.266
O 4.068 5.304 3.911
O 9.672 6.059 2.014
O 1.693 1.076 0.013
O 7.716 6.789 5.452
O 6.112 4.485 4.804
O 4.891 1.135 0.433
O 10.914 6.848 5.872
O 6.140 6.036 2.122
O 6.467 1.888 3.762
O 6.495 3.439 1.080
Al 6.303 3.962 2.942
Al 1.471 0.902 2.942
Al 4.821 0.902 2.942
Al 3.350 0.000 0.000
W 0.000 0.000 0.000
W 4.833 3.060 0.000
W 2.953 3.962 2.942
W 1.482 3.060 0.000
```

Energy of formation   -2.228 eV per atom
ρ   7.3 g/cm³
Space-group type   P-1 (2)
Energy above the most stable polymorph in this dataset   143 kJ/mol of formula units

=====

[9]
Material: MgCr2Cl4O4
Method: DFT, PBE with a Hubbard U
State: optimized geometry

The structure in extended XYZ format:
```
11
Lattice="-0.036 -5.601 -0.015 -6.743 -0.043 1.614 -0.195 -0.015 -6.985" Properties=species:S:1:pos:R:3 pbc="T T T"
Cr -4.560 -4.483 -0.878
Cr -2.484 -1.859 -4.536
O -4.779 -2.908 -0.895
O -2.492 -0.252 -4.635
O -2.975 -5.027 -0.767
O -3.876 -2.630 -4.752
Mg -1.294 -4.056 -0.857
Cl -0.911 -2.620 -6.012
Cl -1.325 -2.425 -2.631
Cl -5.492 -5.333 -2.630
Cl -5.960 -5.344 0.703
```

Energy of formation   -1.327 eV per atom
ρ   2.1 g/cm³
Space-group type   P1 (1)
Energy above the most stable polymorph in this dataset   60 kJ/mol of formula units

=====

[10]
Material: Y6MgMn6O18
Method: DFT, PBE with a Hubbard U
State: optimized geometry

The structure in extended XYZ format:
```
31
Lattice="6.209 0.000 0.024 -3.104 5.366 -0.012 0.046 0.000 12.318" Properties=species:S:1:pos:R:3 pbc="T T T"
O 2.346 0.000 10.452
O 1.934 0.000 1.980
O 5.096 1.923 10.450
O 6.222 0.000 5.696
O 0.779 5.366 4.167
O 1.108 1.944 3.913
O 0.067 3.602 6.516
O 4.430 0.000 8.179
O 4.213 3.422 3.925
O -3.033 5.366 12.213
O 0.934 1.535 8.400
O -0.009 3.558 0.305
O 3.095 1.808 0.316
O 1.992 3.444 10.438
O 2.125 3.752 1.979
O -2.170 3.832 8.388
O 3.171 1.764 6.528
O 5.230 1.615 1.991
Y 0.085 0.000 10.094
Y 0.034 3.563 9.059
Y 3.106 5.366 3.354
Y 3.081 1.809 2.784
Y -0.024 3.557 2.772
Y 3.138 1.804 9.070
Mn 2.018 3.544 0.087
Mn 1.198 1.983 5.923
Mn -0.945 5.366 0.083
Mn 5.123 1.823 0.099
Mn 3.966 0.000 6.110
Mn -1.907 3.383 5.911
Mg 0.105 0.000 7.514
```

Energy of formation   -2.954 eV per atom
ρ   4.8 g/cm³
Space-group type   Cm (8)
Energy above the most stable polymorph in this dataset   52 kJ/mol of formula units

=====

[11]
Material: MnCd4O5
Method: DFT, PBE with a Hubbard U
State: optimized geometry

The structure in extended XYZ format:
```
40
Lattice="5.558 -2.988 -2.182 -0.919 5.368 -9.693 5.179 5.364 0.735" Properties=species:S:1:pos:R:3 pbc="T T T"
O 2.043 4.100 -5.545
O 5.968 7.195 -9.952
O 4.982 5.208 -4.671
O 7.760 3.714 -5.762
O 5.826 2.175 -3.426
O 3.189 8.689 -8.861
O 3.832 0.553 -1.158
O 3.717 2.958 -9.866
O 3.047 3.669 -2.335
O 2.829 0.983 -4.364
O 4.033 5.561 -7.625
O 6.071 4.808 -1.294
O 4.822 2.605 -6.636
O 5.607 -0.511 -5.455
O 6.611 -0.941 -2.249
O 4.177 8.181 -5.705
O 6.956 6.687 -6.796
O 6.812 4.067 -8.716
O 8.850 3.314 -2.385
O 0.939 4.452 -8.775
Cd 2.086 6.534 -8.725
Cd 6.698 1.615 -5.584
Cd 5.074 7.690 -7.829
Cd 1.958 1.543 -2.208
Cd 4.953 2.712 -1.281
Cd 6.109 7.302 -4.685
Cd 2.875 3.487 -7.674
Cd 6.922 4.258 -3.532
Cd 3.919 3.109 -4.493
Cd 5.654 1.993 -8.765
Cd 4.865 5.040 -9.815
Cd 8.888 5.808 -5.776
Cd 4.143 5.752 -2.441
Cd 4.737 0.049 -3.299
Cd 7.853 6.196 -8.920
Cd 7.732 1.218 -2.372
Mn 5.542 -2.972 -2.189
Mn 2.763 -1.478 -1.099
Mn 3.117 6.128 -5.607
Mn 5.896 4.634 -6.697
```

Energy of formation   -1.474 eV per atom
ρ   7.3 g/cm³
Energy above the most stable polymorph in this dataset   4 kJ/mol of formula units

=====

[12]
Material: Ba3TiFe2O8
Method: DFT, PBE with a Hubbard U
State: optimized geometry

The structure in extended XYZ format:
```
28
Lattice="2.904 -5.020 0.000 2.904 5.020 0.000 0.000 0.000 14.314" Properties=species:S:1:pos:R:3 pbc="T T T"
Ba 2.863 1.662 13.111
Ba 2.863 -1.662 5.954
Ba 0.085 0.053 10.735
Ba 2.863 1.662 8.360
Ba 0.085 -0.053 3.578
Ba 2.863 -1.662 1.203
Fe 3.041 1.615 5.024
Fe 3.041 1.615 2.133
Fe 3.041 -1.615 9.290
Fe 3.041 -1.615 12.181
O 1.410 -0.886 8.278
O 4.426 0.812 1.127
O 4.426 0.812 6.030
O 4.426 -0.812 13.187
O 2.834 -3.392 13.098
O 4.112 2.514 3.578
O 2.834 3.392 1.216
O 2.834 3.392 5.941
O 2.713 -0.264 10.735
O 2.713 0.264 3.578
O 4.112 -2.514 10.735
O 4.426 -0.812 8.284
O 1.410 0.886 1.121
O 2.834 -3.392 8.373
O 1.410 -0.886 13.193
O 1.410 0.886 6.036
Ti 0.037 0.000 7.157
Ti 0.037 0.000 0.000
```

Energy of formation   -2.718 eV per atom
ρ   5.6 g/cm³
Space-group type   Ama2 (40)